(1)
# Er10Ru10C19, relaxed, DFT PBE
data_Er10Ru10C19
_cell_length_a 14.639
_cell_length_b 7.244
_cell_length_c 10.036
_cell_angle_alpha 90.00
_cell_angle_beta 111.41
_cell_angle_gamma 90.00
_symmetry_space_group_name_H-M 'C 1 m 1'
_symmetry_Int_Tables_number 8
_symmetry_space_group_name_Hall 'C -2y'
loop_
_atom_site_label
_atom_site_type_symbol
_atom_site_fract_x
_atom_site_fract_y
_atom_site_fract_z
Er1 Er 0.000 0.000 0.000
Er2 Er 0.002 0.500 0.013
Er3 Er 0.157 0.500 0.389
Er4 Er 0.179 0.000 0.389
Er5 Er 0.189 0.500 0.764
Er6 Er 0.195 0.000 0.781
Er7 Er 0.304 0.500 0.138
Er8 Er 0.320 0.000 0.164
Er9 Er 0.430 0.500 0.640
Er10 Er 0.433 0.000 0.615
Ru1 Ru 0.062 0.213 0.535
Ru2 Ru 0.151 0.247 0.983
Ru3 Ru 0.355 0.241 0.796
Ru4 Ru 0.356 0.284 0.389
Ru5 Ru 0.489 0.287 0.243
C1 C 0.003 0.261 0.823
C2 C 0.064 0.250 0.747
C3 C 0.113 0.247 0.183
C4 C 0.214 0.250 0.224
C5 C 0.217 0.247 0.596
C6 C 0.286 0.247 0.956
C7 C 0.297 0.250 0.555
C8 C 0.385 0.252 0.031
C9 C 0.467 0.500 0.389
C10 C 0.468 0.102 0.389
# VASP energy (eV per cell): -648.0
# Crystal system: monoclinic
# DFT formation energy (eV per atom): -0.263



(2)
# Er7Ru2C11, relaxed, DFT PBE
data_Er7Ru2C11
_cell_length_a 3.406
_cell_length_b 16.471
_cell_length_c 19.732
_cell_angle_alpha 90.00
_cell_angle_beta 90.00
_cell_angle_gamma 90.00
_symmetry_space_group_name_H-M 'C m c m'
_symmetry_Int_Tables_number 63
_symmetry_space_group_name_Hall '-C 2c 2'
loop_
_atom_site_label
_atom_site_type_symbol
_atom_site_fract_x
_atom_site_fract_y
_atom_site_fract_z
Er1 Er 0.000 0.022 0.127
Er2 Er 0.000 0.162 0.519
Er3 Er 0.000 0.221 0.155
Er4 Er 0.000 0.396 0.250
Ru1 Ru 0.000 0.420 0.750
Ru2 Ru 0.000 0.500 0.000
C1 C 0.000 0.000 0.250
C2 C 0.000 0.222 0.750
C3 C 0.000 0.294 0.564
C4 C 0.000 0.303 0.750
C5 C 0.000 0.367 0.124
C6 C 0.000 0.373 0.585
C7 C 0.000 0.425 0.079
# VASP energy (eV per cell): -630.9
# Crystal system: orthorhombic
# Total magnetic moment (μB per formula unit): 0.0
# DFT formation energy (eV per atom): -0.284



(3)
# Er5Si3C, relaxed, DFT PBE
data_Er5Si3C
_cell_length_a 8.3929
_cell_length_b 8.3929
_cell_length_c 6.2847
_cell_angle_alpha 90.00
_cell_angle_beta 90.00
_cell_angle_gamma 120.00
_symmetry_space_group_name_H-M 'P 63/m c m'
_symmetry_Int_Tables_number 193
_symmetry_space_group_name_Hall '-P 6c 2'
loop_
_atom_site_label
_atom_site_type_symbol
_atom_site_fract_x
_atom_site_fract_y
_atom_site_fract_z
Er1 Er 0.0000 0.2242 0.2500
Er2 Er 0.3333 0.6667 0.0000
Si1 Si 0.0000 0.4063 0.7500
C1 C 0.0000 0.0000 0.0000
# VASP energy (eV per cell): -108.0
# Crystal system: hexagonal
# Total magnetic moment (μB per formula unit): 0.2
# DFT formation energy (eV per atom): -0.627



(4)
# Er5Si3C, relaxed, DFT PBE
data_Er5Si3C
_cell_length_a 14.6055
_cell_length_b 14.6055
_cell_length_c 18.8608
_cell_angle_alpha 90.00
_cell_angle_beta 90.00
_cell_angle_gamma 120.00
_symmetry_space_group_name_H-M 'P -3 m 1'
_symmetry_Int_Tables_number 164
_symmetry_space_group_name_Hall '-P 3 2"'
loop_
_atom_site_label
_atom_site_type_symbol
_atom_site_fract_x
_atom_site_fract_y
_atom_site_fract_z
Er1 Er 0.0000 0.3350 0.0000
Er2 Er 0.0000 0.3386 0.5000
Er3 Er 0.0007 0.3235 0.3325
Er4 Er 0.0066 0.3328 0.8329
Er5 Er 0.0745 0.1490 0.9176
Er6 Er 0.0782 0.1563 0.2406
Er7 Er 0.0790 0.1579 0.5735
Er8 Er 0.1584 0.5792 0.2521
Er9 Er 0.1770 0.5885 0.5930
Er10 Er 0.1774 0.5887 0.9208
Er11 Er 0.2469 0.4937 0.4188
Er12 Er 0.2525 0.5050 0.0933
Er13 Er 0.2595 0.5190 0.7568
Si1 Si 0.0684 0.5342 0.0859
Si2 Si 0.0677 0.5338 0.7496
Si3 Si 0.0704 0.5352 0.4125
Si4 Si 0.1312 0.2623 0.4196
Si5 Si 0.1331 0.2662 0.7519
Si6 Si 0.1341 0.2681 0.0893
Si7 Si 0.1999 0.3998 0.2478
Si8 Si 0.2001 0.4002 0.9209
Si9 Si 0.2003 0.4006 0.5803
C1 C 0.0000 0.0000 0.0000
C2 C 0.0000 0.0000 0.1726
C3 C 0.0000 0.0000 0.5000
C4 C 0.0000 0.5000 0.0000
C5 C 0.0000 0.5000 0.5000
C6 C 0.3333 0.6667 0.1672
C7 C 0.3333 0.6667 0.2389
C8 C 0.3333 0.6667 0.6676
C9 C 0.3333 0.6667 0.8456
# VASP energy (eV per cell): -965.2
# Crystal system: trigonal
# Total magnetic moment (μB per formula unit): 0.0
# DFT formation energy (eV per atom): -0.586



(5)
# Er3TlC, relaxed, DFT PBE
data_Er3TlC
_cell_length_a 5.567
_cell_length_b 5.567
_cell_length_c 5.567
_cell_angle_alpha 90.00
_cell_angle_beta 90.00
_cell_angle_gamma 90.00
_symmetry_space_group_name_H-M 'P m -3 m'
_symmetry_Int_Tables_number 221
_symmetry_space_group_name_Hall '-P 4 2 3'
loop_
_atom_site_label
_atom_site_type_symbol
_atom_site_fract_x
_atom_site_fract_y
_atom_site_fract_z
Er1 Er 0.000 0.000 0.500
Tl1 Tl 0.000 0.000 0.000
C1 C 0.500 0.500 0.500
# VASP energy (eV per cell): -17.2
# Crystal system: cubic
# Total magnetic moment (μB per formula unit): 0.0
# DFT formation energy (eV per atom): 1.628



(6)
# EuC2, relaxed, DFT PBE
data_EuC2
_cell_length_a 6.805
_cell_length_b 4.307
_cell_length_c 7.417
_cell_angle_alpha 90.00
_cell_angle_beta 106.23
_cell_angle_gamma 90.00
_symmetry_space_group_name_H-M 'C 1 2/c 1'
_symmetry_Int_Tables_number 15
_symmetry_space_group_name_Hall '-C 2yc'
loop_
_atom_site_label
_atom_site_type_symbol
_atom_site_fract_x
_atom_site_fract_y
_atom_site_fract_z
Eu1 Eu 0.000 0.184 0.250
C1 C 0.216 0.358 0.941
# VASP energy (eV per cell): -115.1
# Crystal system: monoclinic
# DFT formation energy (eV per atom): -0.019



(7)
# EuC10, relaxed, DFT PBE
data_EuC10
_cell_length_a 12.542
_cell_length_b 12.542
_cell_length_c 12.542
_cell_angle_alpha 90.00
_cell_angle_beta 90.00
_cell_angle_gamma 90.00
_symmetry_space_group_name_H-M 'I m -3'
_symmetry_Int_Tables_number 204
_symmetry_space_group_name_Hall '-I 2 2 3'
loop_
_atom_site_label
_atom_site_type_symbol
_atom_site_fract_x
_atom_site_fract_y
_atom_site_fract_z
Eu1 Eu 0.000 0.123 0.500
C1 C 0.000 0.407 0.136
C2 C 0.057 0.358 0.223
C3 C 0.158 0.321 0.252
# VASP energy (eV per cell): -1147.1
# Crystal system: cubic
# Total magnetic moment (μB per formula unit): 7.0
# DFT formation energy (eV per atom): 0.632



(8)
# EuC2, relaxed, DFT PBE
data_EuC2
_cell_length_a 3.921
_cell_length_b 3.921
_cell_length_c 6.540
_cell_angle_alpha 90.00
_cell_angle_beta 90.00
_cell_angle_gamma 90.00
_symmetry_space_group_name_H-M 'I 4/m m m'
_symmetry_Int_Tables_number 139
_symmetry_space_group_name_Hall '-I 4 2'
loop_
_atom_site_label
_atom_site_type_symbol
_atom_site_fract_x
_atom_site_fract_y
_atom_site_fract_z
Eu1 Eu 0.000 0.000 0.000
C1 C 0.000 0.000 0.402
# VASP energy (eV per cell): -57.5
# Crystal system: tetragonal
# DFT formation energy (eV per atom): -0.017